No. 1
The following is a PBE calculation of PmCdPt2 after structural relaxation, from Materials Project.

Summary:
Energy relative to the elements in eV per atom: -0.739

Lattice parameters (Å, degrees): 4.888 4.888 4.888 60.00 60.00 60.00
Fractional positions:
Pt 0.250 0.250 0.250
Pt 0.750 0.750 0.750
Pm 0.000 0.000 0.000
Cd 0.500 0.500 0.500

***

No. 2
The following is a PBE calculation of Pm2CdSi after structural relaxation, from Materials Project.

Summary:
Energy relative to the elements in eV per atom: -0.374

Lattice parameters (Å, degrees): 5.245 5.245 5.245 60.00 60.00 60.00
Fractional positions:
Cd 0.500 0.500 0.500
Pm 0.750 0.750 0.750
Pm 0.250 0.250 0.250
Si 0.000 0.000 0.000

***

No. 3
The following is a PBE calculation of PrCd6 after structural relaxation, from Materials Project.

Summary:
Total magnetic moment in μB per cell: 0.0
Energy relative to the elements in eV per atom: -0.210

Lattice parameters (Å, degrees): 13.865 13.865 13.865 110.49 109.78 108.15
Fractional positions:
Cd 0.404 0.000 0.404
Cd 0.772 0.452 0.915
Cd 0.228 0.548 0.085
Cd 0.541 0.090 0.230
Cd 0.948 0.353 0.596
Cd 0.699 0.199 0.500
Cd 0.140 0.910 0.451
Cd 0.757 0.353 0.404
Cd 0.000 0.405 0.405
Cd 0.500 0.302 0.802
Cd 0.462 0.142 0.915
Cd 0.915 0.010 0.094
Cd 0.085 0.990 0.906
Cd 0.404 0.757 0.354
Cd 0.052 0.647 0.404
Cd 0.002 0.323 0.000
Cd 0.256 0.353 0.096
Cd 0.541 0.312 0.451
Cd 0.462 0.548 0.320
Cd 0.860 0.090 0.549
Cd 0.094 0.758 0.852
Cd 0.094 0.242 0.337
Cd 0.684 0.544 0.459
Cd 0.915 0.775 0.459
Cd 0.915 0.456 0.140
Cd 0.085 0.544 0.860
Cd 0.650 0.404 0.054
Cd 0.677 0.677 0.679
Cd 0.316 0.456 0.541
Cd 0.500 0.698 0.198
Cd 0.000 0.595 0.595
Cd 0.316 0.775 0.860
Cd 0.326 0.090 0.236
Cd 0.592 0.592 0.000
Cd 0.228 0.142 0.680
Cd 0.538 0.452 0.680
Cd 0.596 0.243 0.646
Cd 0.085 0.179 0.094
Cd 0.650 0.596 0.246
Cd 0.806 0.500 0.306
Cd 0.002 0.001 0.679
Cd 0.459 0.688 0.549
Cd 0.301 0.801 0.500
Cd 0.085 0.225 0.541
Cd 0.772 0.858 0.320
Cd 0.998 0.999 0.321
Cd 0.408 0.408 0.000
Cd 0.145 0.910 0.236
Cd 0.538 0.858 0.085
Cd 0.194 0.500 0.694
Cd 0.915 0.821 0.906
Cd 0.323 0.323 0.321
Cd 0.860 0.312 0.770
Cd 0.998 0.677 0.000
Cd 0.684 0.225 0.140
Cd 0.404 0.050 0.646
Cd 0.906 0.758 0.663
Cd 0.350 0.596 0.946
Cd 0.140 0.688 0.230
Cd 0.243 0.647 0.596
Cd 0.596 0.000 0.596
Cd 0.459 0.910 0.770
Cd 0.855 0.090 0.764
Cd 0.674 0.910 0.764
Cd 0.350 0.404 0.754
Cd 0.744 0.647 0.904
Cd 0.906 0.242 0.148
Cd 0.256 0.160 0.904
Cd 0.323 0.001 0.000
Cd 0.744 0.840 0.096
Cd 0.596 0.950 0.354
Cd 0.677 0.999 0.000
Pr 0.196 0.494 0.298
Pr 0.890 0.699 0.191
Pr 0.492 0.301 0.191
Pr 0.703 0.812 0.514
Pr 0.804 0.506 0.702
Pr 0.110 0.301 0.809
Pr 0.297 0.812 0.109
Pr 0.804 0.102 0.298
Pr 0.196 0.898 0.702
Pr 0.508 0.699 0.809
Pr 0.703 0.188 0.891
Pr 0.297 0.188 0.486

***

No. 4
The following is a PBE calculation of PrCd after structural relaxation, from Materials Project.

Summary:
Energy relative to the elements in eV per atom: -0.317

Lattice parameters (Å, degrees): 3.885 3.885 3.885 90.00 90.00 90.00
Fractional positions:
Cd 0.000 0.000 0.000
Pr 0.500 0.500 0.500

***

No. 5
The following is a PBE calculation of Pr13Cd58 after structural relaxation, from Materials Project.

Summary:
Total magnetic moment in μB per cell: 0.0
Energy relative to the elements in eV per atom: -0.257

Lattice parameters (Å, degrees): 16.029 16.029 15.694 90.00 90.00 120.00
Fractional positions:
Cd 0.278 0.360 0.250
Cd 0.470 0.235 0.158
Cd 0.124 0.562 0.355
Cd 0.093 0.907 0.344
Cd 0.438 0.562 0.145
Cd 0.036 0.365 0.603
Cd 0.907 0.814 0.656
Cd 0.600 0.201 0.448
Cd 0.000 0.500 0.000
Cd 0.365 0.329 0.103
Cd 0.329 0.964 0.603
Cd 0.907 0.814 0.844
Cd 0.400 0.799 0.948
Cd 0.600 0.400 0.052
Cd 0.082 0.360 0.250
Cd 0.964 0.635 0.397
Cd 0.093 0.186 0.156
Cd 0.235 0.470 0.842
Cd 0.765 0.530 0.342
Cd 0.365 0.036 0.103
Cd 0.333 0.667 0.750
Cd 0.530 0.765 0.842
Cd 0.635 0.671 0.603
Cd 0.640 0.918 0.250
Cd 0.722 0.082 0.750
Cd 0.201 0.600 0.948
Cd 0.438 0.876 0.355
Cd 0.000 0.199 0.500
Cd 0.814 0.907 0.156
Cd 0.235 0.765 0.658
Cd 0.400 0.600 0.552
Cd 0.801 0.000 0.500
Cd 0.765 0.235 0.158
Cd 0.093 0.907 0.156
Cd 0.199 0.199 0.500
Cd 0.268 0.536 0.250
Cd 0.640 0.722 0.250
Cd 0.799 0.400 0.052
Cd 0.500 0.500 0.000
Cd 0.093 0.186 0.344
Cd 0.329 0.365 0.603
Cd 0.667 0.333 0.250
Cd 0.964 0.635 0.103
Cd 0.500 0.000 0.000
Cd 0.801 0.801 0.500
Cd 0.438 0.562 0.355
Cd 0.732 0.464 0.750
Cd 0.199 0.199 0.000
Cd 0.799 0.400 0.448
Cd 0.268 0.732 0.250
Cd 0.360 0.082 0.750
Cd 0.365 0.036 0.397
Cd 0.530 0.765 0.658
Cd 0.333 0.667 0.095
Cd 0.671 0.635 0.103
Cd 0.082 0.722 0.250
Cd 0.000 0.199 0.000
Cd 0.036 0.671 0.603
Cd 0.536 0.268 0.750
Cd 0.876 0.438 0.855
Cd 0.600 0.400 0.448
Cd 0.000 0.000 0.250
Cd 0.186 0.093 0.656
Cd 0.635 0.964 0.603
Cd 0.199 0.000 0.500
Cd 0.000 0.000 0.750
Cd 0.635 0.964 0.897
Cd 0.964 0.329 0.397
Cd 0.671 0.036 0.103
Cd 0.000 0.500 0.500
Cd 0.360 0.278 0.750
Cd 0.000 0.801 0.500
Cd 0.036 0.671 0.897
Cd 0.124 0.562 0.145
Cd 0.201 0.600 0.552
Cd 0.876 0.438 0.645
Cd 0.667 0.333 0.595
Cd 0.671 0.635 0.397
Cd 0.400 0.600 0.948
Cd 0.964 0.329 0.103
Cd 0.500 0.500 0.500
Cd 0.400 0.799 0.552
Cd 0.278 0.918 0.250
Cd 0.186 0.093 0.844
Cd 0.918 0.640 0.750
Cd 0.814 0.907 0.344
Cd 0.329 0.964 0.897
Cd 0.722 0.640 0.750
Cd 0.562 0.438 0.645
Cd 0.235 0.765 0.842
Cd 0.600 0.201 0.052
Cd 0.732 0.268 0.750
Cd 0.907 0.093 0.844
Cd 0.199 0.000 0.000
Cd 0.329 0.365 0.897
Cd 0.562 0.438 0.855
Cd 0.464 0.732 0.250
Cd 0.470 0.235 0.342
Cd 0.765 0.235 0.342
Cd 0.918 0.278 0.750
Cd 0.000 0.801 0.000
Cd 0.562 0.124 0.855
Cd 0.235 0.470 0.658
Cd 0.500 0.000 0.500
Cd 0.365 0.329 0.397
Cd 0.671 0.036 0.397
Cd 0.635 0.671 0.897
Cd 0.801 0.801 0.000
Cd 0.765 0.530 0.158
Cd 0.667 0.333 0.905
Cd 0.438 0.876 0.145
Cd 0.036 0.365 0.897
Cd 0.333 0.667 0.405
Cd 0.562 0.124 0.645
Cd 0.801 0.000 0.000
Cd 0.907 0.093 0.656
Pr 0.000 0.000 0.000
Pr 0.000 0.000 0.500
Pr 0.744 0.872 0.750
Pr 0.457 0.914 0.750
Pr 0.256 0.128 0.250
Pr 0.543 0.457 0.250
Pr 0.411 0.205 0.948
Pr 0.543 0.086 0.250
Pr 0.795 0.205 0.948
Pr 0.205 0.411 0.448
Pr 0.205 0.795 0.448
Pr 0.128 0.872 0.750
Pr 0.795 0.205 0.552
Pr 0.205 0.795 0.052
Pr 0.589 0.795 0.052
Pr 0.872 0.744 0.250
Pr 0.128 0.256 0.750
Pr 0.457 0.543 0.750
Pr 0.914 0.457 0.250
Pr 0.589 0.795 0.448
Pr 0.086 0.543 0.750
Pr 0.205 0.411 0.052
Pr 0.872 0.128 0.250
Pr 0.795 0.589 0.948
Pr 0.795 0.589 0.552
Pr 0.411 0.205 0.552

***

No. 6
The following is a PBE calculation of PrCd2 after structural relaxation, from Materials Project.

Summary:
Energy relative to the elements in eV per atom: -0.341

Lattice parameters (Å, degrees): 5.120 5.120 3.503 90.00 90.00 120.00
Fractional positions:
Pr 0.000 0.000 0.000
Cd 0.667 0.333 0.500
Cd 0.333 0.667 0.500

***

No. 7
The following is a PBE calculation of Pr11Cd45 after structural relaxation, from Materials Project.

Summary:
Energy relative to the elements in eV per atom: -0.278

Lattice parameters (Å, degrees): 15.658 15.658 15.658 60.00 60.00 60.00
Fractional positions:
Cd 0.201 0.018 0.391
Cd 0.510 0.830 0.830
Cd 0.263 0.860 0.614
Cd 0.018 0.391 0.391
Cd 0.263 0.614 0.263
Cd 0.142 0.833 0.513
Cd 0.764 0.403 0.070
Cd 0.142 0.513 0.833
Cd 0.018 0.391 0.201
Cd 0.833 0.513 0.513
Cd 0.913 0.262 0.913
Cd 0.749 0.084 0.084
Cd 0.764 0.070 0.764
Cd 0.268 0.641 0.450
Cd 0.163 0.163 0.163
Cd 0.614 0.263 0.263
Cd 0.510 0.163 0.163
Cd 0.450 0.641 0.268
Cd 0.513 0.513 0.833
Cd 0.391 0.018 0.201
Cd 0.641 0.641 0.268
Cd 0.641 0.450 0.268
Cd 0.641 0.641 0.450
Cd 0.155 0.155 0.845
Cd 0.833 0.142 0.513
Cd 0.764 0.070 0.403
Cd 0.500 0.500 0.500
Cd 0.268 0.641 0.641
Cd 0.860 0.614 0.263
Cd 0.163 0.163 0.510
Cd 0.391 0.391 0.018
Cd 0.513 0.142 0.513
Cd 0.641 0.268 0.641
Cd 0.155 0.845 0.155
Cd 0.403 0.764 0.764
Cd 0.641 0.268 0.450
Cd 0.513 0.833 0.142
Cd 0.764 0.764 0.070
Cd 0.614 0.263 0.860
Cd 0.403 0.070 0.764
Cd 0.913 0.913 0.913
Cd 0.263 0.263 0.614
Cd 0.263 0.263 0.860
Cd 0.845 0.155 0.845
Cd 0.587 0.913 0.913
Cd 0.913 0.587 0.587
Cd 0.587 0.913 0.587
Cd 0.084 0.084 0.749
Cd 0.403 0.764 0.070
Cd 0.155 0.845 0.845
Cd 0.201 0.391 0.018
Cd 0.268 0.450 0.641
Cd 0.084 0.749 0.084
Cd 0.845 0.155 0.155
Cd 0.391 0.201 0.391
Cd 0.450 0.268 0.641
Cd 0.513 0.142 0.833
Cd 0.750 0.750 0.750
Cd 0.641 0.450 0.641
Cd 0.018 0.201 0.391
Cd 0.587 0.587 0.913
Cd 0.860 0.263 0.263
Cd 0.070 0.764 0.403
Cd 0.391 0.391 0.201
Cd 0.845 0.845 0.155
Cd 0.913 0.587 0.913
Cd 0.263 0.614 0.860
Cd 0.450 0.641 0.641
Cd 0.070 0.764 0.764
Cd 0.142 0.513 0.513
Cd 0.860 0.263 0.614
Cd 0.513 0.513 0.142
Cd 0.262 0.913 0.913
Cd 0.614 0.860 0.263
Cd 0.391 0.018 0.391
Cd 0.830 0.510 0.830
Cd 0.830 0.830 0.510
Cd 0.913 0.913 0.587
Cd 0.163 0.510 0.163
Cd 0.391 0.201 0.018
Cd 0.830 0.830 0.830
Cd 0.070 0.403 0.764
Cd 0.084 0.084 0.084
Cd 0.263 0.860 0.263
Cd 0.201 0.391 0.391
Cd 0.764 0.764 0.403
Cd 0.513 0.833 0.513
Cd 0.833 0.513 0.142
Cd 0.764 0.403 0.764
Cd 0.913 0.913 0.262
Pr 0.010 0.663 0.663
Pr 0.663 0.010 0.663
Pr 0.641 0.013 0.013
Pr 0.013 0.333 0.641
Pr 0.013 0.333 0.013
Pr 0.013 0.641 0.333
Pr 0.013 0.013 0.333
Pr 0.641 0.333 0.013
Pr 0.250 0.250 0.250
Pr 0.406 0.406 0.406
Pr 0.013 0.013 0.641
Pr 0.000 0.000 0.000
Pr 0.333 0.013 0.641
Pr 0.406 0.406 0.781
Pr 0.663 0.663 0.663
Pr 0.013 0.641 0.013
Pr 0.333 0.641 0.013
Pr 0.641 0.013 0.333
Pr 0.663 0.663 0.010
Pr 0.406 0.781 0.406
Pr 0.781 0.406 0.406
Pr 0.333 0.013 0.013

***

- Look up the energy relative to the elements of the first one.
  -0.739 eV per atom